Crystalline YCrB4 at its relaxed geometry. Source: the Materials Project database, functional r2SCAN.

Cell and atoms, written as POSCAR:
```
YCrB4
1.0
3.446 0.000 0.000
0.000 5.918 0.000
0.000 0.000 11.434
Y Cr B
4 4 16
direct
0.000 0.375 0.650
0.000 0.625 0.350
0.000 0.875 0.850
0.000 0.125 0.150
0.000 0.379 0.921
0.000 0.621 0.079
0.000 0.879 0.579
0.000 0.121 0.421
0.500 0.025 0.691
0.500 0.975 0.309
0.500 0.525 0.809
0.500 0.475 0.191
0.500 0.113 0.547
0.500 0.887 0.453
0.500 0.613 0.953
0.500 0.387 0.047
0.500 0.280 0.316
0.500 0.720 0.684
0.500 0.780 0.184
0.500 0.220 0.816
0.500 0.362 0.467
0.500 0.638 0.533
0.500 0.862 0.033
0.500 0.138 0.967
```

Results
The value obtained for the total energy is -274.81 eV/cell. The energy of formation comes out at -655 meV per atom. As for the spin magnetization: 0.000 μB per cell.